Hf3ZnN: optimized geometry, PBE.

Cell: 5.883 5.883 8.828 Å, 90.00 90.00 147.24°
Fractional positions:
Hf1 0.628 0.372 0.954
Hf2 0.372 0.628 0.454
Hf3 0.372 0.628 0.046
Hf4 0.628 0.372 0.546
Hf5 0.955 0.045 0.750
Hf6 0.045 0.955 0.250
Zn1 0.254 0.746 0.750
Zn2 0.746 0.254 0.250
N1 0.000 0.000 0.000
N2 0.000 0.000 0.500

Summary:
energy of formation from the pure elements: -963 meV/atom
crystal system: orthorhombic

Ca2SiCl2O3: optimized geometry, PBE.

Cell: 8.989 8.989 8.989 Å, 106.18 106.18 116.27°
Fractional positions:
Ca1 0.521 0.188 0.172
Ca2 0.484 0.817 0.828
Ca3 0.988 0.656 0.172
Ca4 0.817 0.988 0.332
Ca5 0.017 0.349 0.828
Ca6 0.656 0.484 0.668
Ca7 0.349 0.521 0.333
Ca8 0.188 0.017 0.667
Si1 0.107 0.815 0.916
Si2 0.190 0.107 0.291
Si3 0.899 0.190 0.084
Si4 0.815 0.899 0.709
Cl1 0.247 0.747 0.500
Cl2 0.747 0.247 0.500
Cl3 0.577 0.244 0.818
Cl4 0.714 0.714 0.000
Cl5 0.290 0.290 0.000
Cl6 0.426 0.760 0.182
Cl7 0.760 0.577 0.333
Cl8 0.244 0.426 0.667
O1 0.402 0.292 0.388
O2 0.829 0.052 0.876
O3 0.953 0.829 0.777
O4 0.176 0.953 0.124
O5 0.990 0.603 0.888
O6 0.052 0.176 0.223
O7 0.014 0.402 0.111
O8 0.603 0.714 0.612
O9 0.904 0.014 0.612
O10 0.714 0.102 0.112
O11 0.102 0.990 0.388
O12 0.292 0.904 0.889

Summary:
energy of formation from the pure elements: -3037 meV/atom
crystal system: tetragonal

Ti2FeS4: optimized geometry, PBE.

Cell: 3.362 5.908 6.642 Å, 115.93 104.66 90.00°
Fractional positions:
Ti1 0.745 0.755 0.490
Ti2 0.255 0.245 0.510
Fe1 0.000 0.000 0.000
S1 0.119 0.794 0.237
S2 0.881 0.206 0.763
S3 0.624 0.291 0.247
S4 0.376 0.709 0.753

Summary:
energy of formation from the pure elements: -1411 meV/atom
crystal system: monoclinic

Ga8Sb7Te8Cl29: optimized geometry, PBE.

Cell: 10.897 18.704 34.387 Å, 94.03 90.00 90.00°
Fractional positions:
Ga1 0.753 0.872 0.490
Ga2 0.253 0.628 0.010
Ga3 0.247 0.128 0.510
Ga4 0.747 0.372 0.990
Ga5 0.257 0.666 0.223
Ga6 0.757 0.834 0.277
Ga7 0.743 0.334 0.777
Ga8 0.243 0.166 0.723
Ga9 0.627 0.476 0.336
Ga10 0.127 0.024 0.164
Ga11 0.373 0.524 0.664
Ga12 0.873 0.976 0.836
Ga13 0.759 0.562 0.434
Ga14 0.259 0.938 0.066
Ga15 0.241 0.438 0.566
Ga16 0.741 0.062 0.934
Ga17 0.063 0.260 0.082
Ga18 0.563 0.240 0.418
Ga19 0.937 0.740 0.918
Ga20 0.437 0.760 0.582
Ga21 0.432 0.267 0.083
Ga22 0.932 0.233 0.417
Ga23 0.568 0.733 0.917
Ga24 0.068 0.767 0.583
Ga25 0.243 0.366 0.242
Ga26 0.743 0.134 0.258
Ga27 0.757 0.634 0.758
Ga28 0.257 0.866 0.742
Ga29 0.086 0.450 0.333
Ga30 0.586 0.050 0.167
Ga31 0.914 0.550 0.667
Ga32 0.414 0.950 0.833
Sb1 0.263 0.870 0.379
Sb2 0.763 0.630 0.121
Sb3 0.737 0.130 0.621
Sb4 0.237 0.370 0.879
Sb5 0.070 0.976 0.292
Sb6 0.570 0.524 0.208
Sb7 0.930 0.024 0.708
Sb8 0.430 0.476 0.792
Sb9 0.257 0.093 0.380
Sb10 0.757 0.407 0.120
Sb11 0.743 0.907 0.620
Sb12 0.243 0.593 0.880
Sb13 0.439 0.981 0.290
Sb14 0.939 0.519 0.210
Sb15 0.561 0.019 0.710
Sb16 0.061 0.481 0.790
Sb17 0.445 0.727 0.449
Sb18 0.945 0.773 0.051
Sb19 0.555 0.273 0.551
Sb20 0.055 0.227 0.949
Sb21 0.255 0.655 0.351
Sb22 0.755 0.845 0.149
Sb23 0.745 0.345 0.649
Sb24 0.245 0.155 0.851
Sb25 0.066 0.730 0.449
Sb26 0.566 0.770 0.051
Sb27 0.934 0.270 0.551
Sb28 0.434 0.230 0.949
Te1 0.259 0.863 0.292
Te2 0.759 0.637 0.208
Te3 0.741 0.137 0.708
Te4 0.241 0.363 0.792
Te5 0.250 0.091 0.294
Te6 0.750 0.409 0.206
Te7 0.750 0.909 0.706
Te8 0.250 0.591 0.794
Te9 0.056 0.991 0.375
Te10 0.556 0.509 0.125
Te11 0.944 0.009 0.625
Te12 0.444 0.491 0.875
Te13 0.464 0.995 0.372
Te14 0.964 0.505 0.128
Te15 0.536 0.005 0.628
Te16 0.036 0.495 0.872
Te17 0.456 0.755 0.367
Te18 0.956 0.745 0.133
Te19 0.544 0.245 0.633
Te20 0.044 0.255 0.867
Te21 0.252 0.618 0.432
Te22 0.752 0.882 0.068
Te23 0.748 0.382 0.568
Te24 0.248 0.118 0.932
Te25 0.258 0.828 0.470
Te26 0.758 0.672 0.030
Te27 0.742 0.172 0.530
Te28 0.242 0.328 0.970
Te29 0.062 0.760 0.366
Te30 0.562 0.740 0.134
Te31 0.938 0.240 0.634
Te32 0.438 0.260 0.866
Cl1 0.755 0.770 0.517
Cl2 0.255 0.730 0.983
Cl3 0.245 0.230 0.483
Cl4 0.745 0.270 0.017
Cl5 0.918 0.881 0.452
Cl6 0.418 0.619 0.048
Cl7 0.082 0.119 0.548
Cl8 0.582 0.381 0.952
Cl9 0.591 0.879 0.451
Cl10 0.091 0.621 0.049
Cl11 0.409 0.121 0.549
Cl12 0.909 0.379 0.951
Cl13 0.749 0.966 0.533
Cl14 0.249 0.534 0.967
Cl15 0.251 0.034 0.467
Cl16 0.751 0.466 0.033
Cl17 0.418 0.662 0.263
Cl18 0.918 0.838 0.237
Cl19 0.582 0.338 0.737
Cl20 0.082 0.162 0.763
Cl21 0.264 0.761 0.190
Cl22 0.764 0.739 0.310
Cl23 0.736 0.239 0.810
Cl24 0.236 0.261 0.690
Cl25 0.257 0.568 0.184
Cl26 0.757 0.932 0.316
Cl27 0.743 0.432 0.816
Cl28 0.243 0.068 0.684
Cl29 0.091 0.667 0.260
Cl30 0.591 0.833 0.240
Cl31 0.909 0.333 0.740
Cl32 0.409 0.167 0.760
Cl33 0.757 0.460 0.388
Cl34 0.257 0.040 0.112
Cl35 0.243 0.540 0.612
Cl36 0.743 0.960 0.888
Cl37 0.720 0.545 0.295
Cl38 0.220 0.955 0.205
Cl39 0.280 0.455 0.705
Cl40 0.780 0.045 0.795
Cl41 0.473 0.535 0.364
Cl42 0.973 0.965 0.136
Cl43 0.527 0.465 0.636
Cl44 0.027 0.035 0.864
Cl45 0.584 0.374 0.307
Cl46 0.084 0.126 0.193
Cl47 0.416 0.626 0.693
Cl48 0.916 0.874 0.807
Cl49 0.752 0.659 0.403
Cl50 0.252 0.841 0.097
Cl51 0.248 0.341 0.597
Cl52 0.748 0.159 0.903
Cl53 0.600 0.550 0.470
Cl54 0.100 0.950 0.030
Cl55 0.400 0.450 0.530
Cl56 0.900 0.050 0.970
Cl57 0.936 0.549 0.462
Cl58 0.436 0.951 0.038
Cl59 0.064 0.451 0.538
Cl60 0.564 0.049 0.962
Cl61 0.246 0.266 0.118
Cl62 0.746 0.234 0.382
Cl63 0.754 0.734 0.882
Cl64 0.254 0.766 0.618
Cl65 0.046 0.361 0.055
Cl66 0.546 0.139 0.445
Cl67 0.954 0.639 0.945
Cl68 0.454 0.861 0.555
Cl69 0.082 0.167 0.040
Cl70 0.582 0.333 0.460
Cl71 0.918 0.833 0.960
Cl72 0.418 0.667 0.540
Cl73 0.921 0.250 0.126
Cl74 0.421 0.250 0.374
Cl75 0.079 0.750 0.874
Cl76 0.579 0.750 0.626
Cl77 0.568 0.268 0.130
Cl78 0.068 0.232 0.370
Cl79 0.432 0.732 0.870
Cl80 0.932 0.768 0.630
Cl81 0.429 0.172 0.043
Cl82 0.929 0.328 0.457
Cl83 0.571 0.828 0.957
Cl84 0.071 0.672 0.543
Cl85 0.438 0.367 0.054
Cl86 0.938 0.133 0.446
Cl87 0.562 0.633 0.946
Cl88 0.062 0.867 0.554
Cl89 0.226 0.472 0.282
Cl90 0.726 0.028 0.218
Cl91 0.774 0.528 0.718
Cl92 0.274 0.972 0.782
Cl93 0.082 0.364 0.203
Cl94 0.582 0.136 0.297
Cl95 0.918 0.636 0.797
Cl96 0.418 0.864 0.703
Cl97 0.408 0.377 0.206
Cl98 0.908 0.123 0.294
Cl99 0.592 0.623 0.794
Cl100 0.092 0.877 0.706
Cl101 0.254 0.282 0.281
Cl102 0.754 0.218 0.219
Cl103 0.746 0.718 0.719
Cl104 0.246 0.782 0.781
Cl105 0.017 0.561 0.347
Cl106 0.517 0.939 0.153
Cl107 0.983 0.439 0.653
Cl108 0.483 0.061 0.847
Cl109 0.948 0.382 0.305
Cl110 0.448 0.118 0.195
Cl111 0.052 0.618 0.695
Cl112 0.552 0.882 0.805
Cl113 0.193 0.417 0.381
Cl114 0.693 0.083 0.119
Cl115 0.807 0.583 0.619
Cl116 0.307 0.917 0.881

Summary:
energy of formation from the pure elements: -1178 meV/atom
crystal system: monoclinic

CoN: optimized geometry, PBE.

Cell: 2.521 2.521 2.521 Å, 90.00 90.00 90.00°
Fractional positions:
Co1 0.000 0.000 0.000
N1 0.500 0.500 0.500

Summary:
energy of formation from the pure elements: 799 meV/atom
distance to the lowest polymorph of the same formula: 872.4 meV per atom
crystal system: cubic

MnMo6Se8: optimized geometry, PBE.

Cell: 6.694 6.694 6.694 Å, 92.34 92.34 92.34°
Fractional positions:
Mn1 0.000 0.000 0.000
Mo1 0.225 0.548 0.418
Mo2 0.775 0.452 0.582
Mo3 0.418 0.225 0.548
Mo4 0.582 0.775 0.452
Mo5 0.548 0.418 0.225
Mo6 0.452 0.582 0.775
Se1 0.128 0.367 0.749
Se2 0.872 0.633 0.251
Se3 0.214 0.214 0.214
Se4 0.786 0.786 0.786
Se5 0.367 0.749 0.128
Se6 0.633 0.251 0.872
Se7 0.749 0.128 0.367
Se8 0.251 0.872 0.633

Summary:
energy of formation from the pure elements: -704 meV/atom
crystal system: trigonal

Look up the energy of formation from the pure elements of the fifth one.
799 meV/atom

What is the energy of formation from the pure elements in the fifth record?
799 meV/atom

Which value of energy of formation from the pure elements does entry 2 give?
-3037 meV/atom